(1)
Lu2Se3: relaxed, r²SCAN.

Values from the calculation:
density = 7.261 g/cm³
E_form = -2.148 eV/atom

abc: 13.193 12.590 6.898
angles: 79.37 69.71 30.92
Fractional coordinates of all 20 atoms:
Lu 0.041 0.041 0.209
Lu 0.127 0.127 0.623
Lu 0.209 0.209 0.041
Lu 0.377 0.377 0.873
Lu 0.623 0.623 0.127
Lu 0.791 0.791 0.959
Lu 0.873 0.873 0.377
Lu 0.959 0.959 0.791
Se 0.048 0.539 0.197
Se 0.119 0.631 0.631
Se 0.197 0.716 0.048
Se 0.284 0.803 0.461
Se 0.369 0.881 0.881
Se 0.461 0.952 0.284
Se 0.539 0.048 0.716
Se 0.631 0.119 0.119
Se 0.716 0.197 0.539
Se 0.803 0.284 0.952
Se 0.881 0.369 0.369
Se 0.952 0.461 0.803

(2)
LuSe2: relaxed, r²SCAN.

Values from the calculation:
density = 8.482 g/cm³
E_form = -1.673 eV/atom

abc: 4.006 4.006 8.124
angles: 90.00 90.00 90.00
Fractional coordinates of all 6 atoms:
Lu 0.250 0.250 0.227
Lu 0.750 0.750 0.773
Se 0.250 0.250 0.871
Se 0.250 0.750 0.500
Se 0.750 0.250 0.500
Se 0.750 0.750 0.129

(3)
SmLuSe3: relaxed, r²SCAN.

Values from the calculation:
density = 7.156 g/cm³
E_form = -2.175 eV/atom

abc: 11.489 4.077 11.772
angles: 90.00 108.87 90.00
Fractional coordinates of all 20 atoms:
Sm 0.049 0.250 0.197
Sm 0.319 0.750 0.997
Sm 0.681 0.250 0.003
Sm 0.951 0.750 0.803
Lu 0.158 0.250 0.582
Lu 0.438 0.250 0.337
Lu 0.562 0.750 0.663
Lu 0.842 0.750 0.418
Se 0.081 0.750 0.407
Se 0.112 0.250 0.963
Se 0.190 0.750 0.742
Se 0.264 0.750 0.232
Se 0.394 0.250 0.560
Se 0.486 0.250 0.124
Se 0.514 0.750 0.876
Se 0.606 0.750 0.440
Se 0.736 0.250 0.768
Se 0.810 0.250 0.258
Se 0.888 0.750 0.037
Se 0.919 0.250 0.593

(4)
YbLu2Se4: relaxed, r²SCAN.

Values from the calculation:
density = 7.948 g/cm³
E_form = -2.098 eV/atom

abc: 6.809 3.974 6.826
angles: 90.00 108.41 90.00
Fractional coordinates of all 7 atoms:
Yb 0.000 0.000 0.000
Lu 0.000 0.500 0.500
Lu 0.500 0.000 0.500
Se 0.247 0.000 0.745
Se 0.256 0.500 0.246
Se 0.744 0.500 0.754
Se 0.753 0.000 0.255

(5)
LuTiSi: relaxed, r²SCAN.

Values from the calculation:
density = 7.122 g/cm³
E_form = -0.739 eV/atom

abc: 3.966 3.966 7.437
angles: 90.00 90.00 90.00
Fractional coordinates of all 6 atoms:
Lu 0.250 0.250 0.152
Lu 0.750 0.750 0.848
Ti 0.250 0.750 0.500
Ti 0.750 0.250 0.500
Si 0.250 0.250 0.746
Si 0.750 0.750 0.254

(6)
SmLu3: relaxed, r²SCAN.

Values from the calculation:
density = 9.179 g/cm³
E_form = 0.005 eV/atom

abc: 7.143 7.143 5.529
angles: 90.00 90.00 120.00
Fractional coordinates of all 8 atoms:
Sm 0.333 0.667 0.250
Sm 0.667 0.333 0.750
Lu 0.165 0.330 0.750
Lu 0.165 0.835 0.750
Lu 0.330 0.165 0.250
Lu 0.670 0.835 0.750
Lu 0.835 0.165 0.250
Lu 0.835 0.670 0.250

> The highest density belongs to which entry?

SmLu3

> Number 5 is which compound?

LuTiSi

> What is the formula in the fifth record?

LuTiSi